PBE HfMg6SiO8, relaxed; ΔE_f = -2.539 eV/atom; offset from the most stable computed form = 51.0 meV/atom; calculated volume = 10.866 A^3/atom
1.0
4.2886 0.0000 0.0000
0.0000 4.2886 0.0000
0.0000 0.0000 9.4530
Hf Mg Si O
1 6 1 8
direct
0.0000 0.0000 0.0000 Hf
0.0000 0.0000 0.5000 Mg
0.0000 0.5000 0.2696 Mg
0.0000 0.5000 0.7304 Mg
0.5000 0.0000 0.2696 Mg
0.5000 0.0000 0.7304 Mg
0.5000 0.5000 0.5000 Mg
0.5000 0.5000 0.0000 Si
0.0000 0.0000 0.2469 O
0.0000 0.0000 0.7531 O
0.0000 0.5000 0.0000 O
0.0000 0.5000 0.5000 O
0.5000 0.0000 0.0000 O
0.5000 0.0000 0.5000 O
0.5000 0.5000 0.2879 O
0.5000 0.5000 0.7121 O